A relaxed K2Ca2S3O12 crystal, computed with PBE.

Lattice parameters (Å, degrees): 10.4272 10.5652 10.6399 90.00 90.00 90.00
Space group P2_12_12_1 (No. 19)
Unique sites:
K 0.0598 0.0277 0.0644 [4 per cell]
K 0.1908 0.3286 0.6846 [4 per cell]
Ca 0.0771 0.8942 0.4078 [4 per cell]
Ca 0.1686 0.6909 0.8423 [4 per cell]
S 0.0222 0.2121 0.3719 [4 per cell]
S 0.1322 0.0013 0.7181 [4 per cell]
S 0.2485 0.3893 0.0080 [4 per cell]
O 0.0104 0.5831 0.1755 [4 per cell]
O 0.0248 0.3040 0.2661 [4 per cell]
O 0.0297 0.0950 0.6918 [4 per cell]
O 0.0774 0.7540 0.0365 [4 per cell]
O 0.0814 0.8994 0.8019 [4 per cell]
O 0.1166 0.3383 0.9910 [4 per cell]
O 0.1509 0.2093 0.4327 [4 per cell]
O 0.1595 0.6907 0.4357 [4 per cell]
O 0.1792 0.9435 0.5986 [4 per cell]
O 0.2141 0.6072 0.6428 [4 per cell]
O 0.2411 0.0677 0.7806 [4 per cell]
O 0.2432 0.4793 0.4569 [4 per cell]

ΔH_f (0 K): -2531 meV/atom
energy with MP2020 corrections: -6.6376 eV per atom
calculated density: 2.53 Mg/m³
ΔE to the lowest computed polymorph: 0.0 kJ/mol of atoms
volume: 1172.1 Å³ per cell